--- a ---
8
Lattice="4.1079 0.0000 0.0000 0.0000 4.1079 0.0000 0.0000 0.0000 8.5548" Properties=species:S:1:pos:R:3 comment="MgAg3 | Materials Project | PBE-GGA | optimized geometry" volume_a3_per_cell=144.4 pbc="T T T"
Mg 0.0000 0.0000 0.0000
Mg 2.0539 2.0539 4.2774
Ag 0.0000 0.0000 4.2774
Ag 0.0000 2.0539 2.1387
Ag 0.0000 2.0539 6.4161
Ag 2.0539 0.0000 2.1387
Ag 2.0539 0.0000 6.4161
Ag 2.0539 2.0539 0.0000

--- b ---
12
Lattice="3.0393 0.0000 0.0000 -1.5196 2.6321 0.0000 0.0000 0.0000 27.8806" Properties=species:S:1:pos:R:3 comment="MgAg3 | Materials Project | PBE-GGA | optimized geometry" volume_a3_per_cell=223.0 pbc="T T T"
Mg 0.0000 0.0000 0.0000
Mg 0.0000 1.7547 18.5871
Mg 1.5196 0.8774 9.2935
Ag 0.0000 0.0000 6.9896
Ag 0.0000 0.0000 13.9403
Ag 0.0000 0.0000 20.8910
Ag 0.0000 1.7547 4.6468
Ag 0.0000 1.7547 11.5975
Ag 0.0000 1.7547 25.5767
Ag 1.5196 0.8774 2.3039
Ag 1.5196 0.8774 16.2831
Ag 1.5196 0.8774 23.2338

Most stable: a

--- a ---
28
Lattice="3.1853 0.0000 0.0000 0.0000 10.8244 0.0000 0.0000 0.0000 9.8249" Properties=species:S:1:pos:R:3 comment="MgAg2O4 | Materials Project | PBE-GGA | optimized geometry" volume_a3_per_cell=338.7 pbc="T T T"
Mg 0.4964 1.6083 2.4562
Mg 0.4964 3.8039 7.3687
Mg 2.6889 7.0205 2.4562
Mg 2.6889 9.2161 7.3687
Ag 1.0655 6.6611 5.6151
Ag 1.0655 6.6611 9.1223
Ag 1.0655 9.5755 0.7026
Ag 1.0655 9.5755 4.2098
Ag 2.1198 1.2489 5.6151
Ag 2.1198 1.2489 9.1223
Ag 2.1198 4.1633 0.7026
Ag 2.1198 4.1633 4.2098
O 0.1160 2.7061 0.0000
O 0.1160 2.7061 4.9125
O 1.0706 7.7418 7.3687
O 1.0706 8.4948 2.4562
O 1.1698 5.9509 1.2284
O 1.1698 5.9509 3.6840
O 1.1698 10.2857 6.1409
O 1.1698 10.2857 8.5965
O 2.0154 0.5387 1.2284
O 2.0154 0.5387 3.6840
O 2.0154 4.8735 6.1409
O 2.0154 4.8735 8.5965
O 2.1147 2.3296 7.3687
O 2.1147 3.0826 2.4562
O 3.0693 8.1183 0.0000
O 3.0693 8.1183 4.9125

--- b ---
14
Lattice="1.5492 -5.3086 0.0000 1.5492 5.3086 0.0000 0.0000 0.0000 9.8821" Properties=species:S:1:pos:R:3 comment="MgAg2O4 | Materials Project | PBE-GGA | optimized geometry" volume_a3_per_cell=162.5 pbc="T T T"
Mg 1.5492 4.1474 7.4116
Mg 1.5492 -4.1474 2.4705
Ag 1.5492 1.3950 5.6607
Ag 1.5492 1.3950 9.1625
Ag 1.5492 -1.3950 0.7197
Ag 1.5492 -1.3950 4.2214
O 0.0000 0.0000 0.0000
O 0.0000 0.0000 4.9411
O 1.5492 2.2399 1.2005
O 1.5492 2.2399 3.7406
O 1.5492 0.2666 7.4116
O 1.5492 -0.2666 2.4705
O 1.5492 -2.2399 6.1416
O 1.5492 -2.2399 8.6816

Most stable: a